Entry 1:
! Li9Mn2Co5O16 | the Materials Project database | GGA+U | optimized geometry; values from VASP
! Corrected total energy (MP2020 scheme): -6.3916 eV per atom
! Formation energy: -1.697 eV/atom
! SG: No. 8
! Calculated total energy: -5.6879 eV per atom
&SYSTEM
  ibrav = 0, nat = 32, ntyp = 4
/
ATOMIC_SPECIES
Li 6.94 Li.upf
Mn 54.94 Mn.upf
Co 58.93 Co.upf
O 16.00 O.upf
ATOMIC_POSITIONS angstrom
Li 0.0000 0.0000 0.0000
Li 0.3882 0.0000 14.7729
Li 0.7381 0.0000 29.4371
Li 0.9197 0.0000 36.7022
Li 1.8545 0.0000 4.8595
Li 2.1871 0.0000 19.4921
Li 2.6339 0.0000 34.2730
Li 3.7275 0.0000 9.9161
Li 4.0696 0.0000 24.5642
Mn 0.2248 0.0000 7.3871
Mn 0.5651 0.0000 22.0229
Co 2.0570 0.0000 12.3269
Co 2.4022 0.0000 26.9891
Co 3.5199 0.0000 2.5002
Co 3.8665 0.0000 17.1588
Co 4.2040 0.0000 31.7927
O 0.1473 0.0000 3.6456
O 0.3297 0.0000 11.1759
O 0.4443 0.0000 18.1661
O 0.6748 0.0000 25.8404
O 0.7801 0.0000 32.7551
O 1.7681 0.0000 1.4279
O 2.0919 0.0000 8.5278
O 2.1679 0.0000 16.1540
O 2.4484 0.0000 23.1672
O 2.5019 0.0000 30.7888
O 2.6341 0.0000 37.9684
O 3.4812 0.0000 6.2632
O 3.7829 0.0000 13.4700
O 3.8020 0.0000 20.8641
O 4.1285 0.0000 28.1251
O 4.3186 0.0000 35.4023
CELL_PARAMETERS angstrom
2.5612 -1.4344 0.0000
2.5612 1.4344 0.0000
-0.7900 0.0000 39.1355

Entry 2:
! Li9Mn2Co5O16 | the Materials Project database | GGA+U | optimized geometry; values from VASP
! Corrected total energy (MP2020 scheme): -6.4793 eV per atom
! Formation energy: -1.785 eV/atom
! SG: No. 8
! Calculated total energy: -5.7757 eV per atom
&SYSTEM
  ibrav = 0, nat = 32, ntyp = 4
/
ATOMIC_SPECIES
Li 6.94 Li.upf
Mn 54.94 Mn.upf
Co 58.93 Co.upf
O 16.00 O.upf
ATOMIC_POSITIONS angstrom
Li 0.0000 0.0000 0.0000
Li 1.5569 0.0000 4.7930
Li 3.1943 0.0000 9.6499
Li 5.6776 0.0000 1.6879
Li 7.2972 0.0000 6.2786
Li 8.8729 0.0000 11.3525
Li 11.2090 0.0000 3.1795
Li 12.9556 0.0000 7.8778
Li 14.0958 0.0000 3.9611
Mn 6.1026 0.0000 10.5461
Mn 11.6791 0.0000 12.2900
Co 0.4372 0.0000 8.7829
Co 2.6858 0.0000 0.6601
Co 4.5269 0.0000 5.3714
Co 8.3277 0.0000 2.5640
Co 10.1775 0.0000 7.2543
O -0.2966 0.0000 10.9170
O 1.1188 0.0000 6.8730
O 2.0712 0.0000 2.6165
O 2.8030 0.0000 11.8109
O 3.7991 0.0000 7.6854
O 4.9166 0.0000 3.6072
O 5.2371 0.0000 12.7319
O 6.7203 0.0000 8.4765
O 7.8903 0.0000 4.3123
O 9.1611 0.0000 0.2136
O 9.4306 0.0000 9.2629
O 10.8339 0.0000 5.3093
O 11.6736 0.0000 0.8582
O 12.4035 0.0000 10.4257
O 13.3547 0.0000 5.9216
O 14.8021 0.0000 1.9294
CELL_PARAMETERS angstrom
7.6625 -1.4310 0.0000
7.6625 1.4310 0.0000
-0.7585 0.0000 13.2418

Entry 3:
! Li4Ti3V3Te2O16 | the Materials Project database | GGA+U | optimized geometry; values from VASP
! Corrected total energy (MP2020 scheme): -7.7107 eV per atom
! Formation energy: -2.567 eV/atom
! Calculated total energy: -7.1360 eV per atom
&SYSTEM
  ibrav = 0, nat = 56, ntyp = 5
/
ATOMIC_SPECIES
O 16.00 O.upf
V 50.94 V.upf
Li 6.94 Li.upf
Te 127.60 Te.upf
Ti 47.87 Ti.upf
ATOMIC_POSITIONS angstrom
O -4.3320 7.7981 3.3035
O -9.0633 5.0752 3.2081
O -1.3536 2.6533 3.2949
O -7.7636 5.8285 1.1266
O 1.6466 4.3355 6.1571
O -1.7319 2.5250 8.7913
O -1.3720 7.6622 8.5682
O -0.0267 3.4206 1.1209
O -1.4019 0.8434 0.9661
O -4.4506 4.2554 6.1548
O -1.5164 7.7702 3.2362
O 0.0357 1.7285 6.1792
O 1.4621 2.6258 3.2266
O -5.9384 8.6607 1.0014
O -6.1107 5.2152 8.6109
O -4.3805 5.9879 0.9750
O -2.8756 5.1506 8.2752
O -0.0120 5.2979 8.6102
O -0.0614 6.9163 6.2757
O -2.9664 5.1553 3.2063
O -7.4680 7.5810 8.5709
O -1.6672 5.9089 1.1254
O -4.7099 7.6680 8.7975
O -6.0647 5.0332 3.2182
O -2.9604 3.5176 0.9946
O 0.0322 5.1132 3.2160
O -6.1560 6.8351 6.2796
O -2.9422 6.8720 6.1875
O -4.4304 9.4369 6.2230
O -3.0043 8.5649 1.1296
O -8.9752 5.0711 8.2751
O -1.4521 4.2928 6.2153
V 1.5593 4.3343 2.1397
V -3.0240 3.3663 7.3795
V -4.5371 4.2542 2.1428
V -5.9976 8.5088 7.3892
V -4.5539 6.0133 7.3801
V 1.5416 6.0986 7.3786
Li -9.0612 5.0778 5.1008
Li -2.9965 1.7200 4.0689
Li -2.9370 5.1731 10.1455
Li -2.9628 5.1572 5.0981
Li -5.9739 6.8642 4.0754
Li -2.9856 8.5906 9.3245
Li -9.0345 5.0933 10.1465
Li -0.0068 3.4469 9.3152
Te 0.0701 3.4551 5.2637
Te -6.0282 3.3733 5.2644
Te -5.9074 6.9104 10.2482
Te -2.9283 1.7677 10.2393
Ti -1.3278 6.0847 7.5368
Ti -7.4748 4.2604 2.2680
Ti -2.8753 6.9278 2.2655
Ti -7.4253 6.0044 7.5381
Ti -1.3782 4.3405 2.2657
Ti 0.1019 1.7836 2.2572
CELL_PARAMETERS angstrom
3.1187 5.2245 0.0058
-9.0748 5.0644 0.0103
-0.0039 0.0141 10.2802

Entry 4:
! MoSeCl7O | the Materials Project database | GGA+U | optimized geometry; values from VASP
! Corrected total energy (MP2020 scheme): -3.9241 eV per atom
! Formation energy: -0.701 eV/atom
! SG: No. 2
! Calculated total energy: -3.5352 eV per atom
&SYSTEM
  ibrav = 0, nat = 20, ntyp = 4
/
ATOMIC_SPECIES
Mo 95.94 Mo.upf
Se 78.96 Se.upf
Cl 35.45 Cl.upf
O 16.00 O.upf
ATOMIC_POSITIONS angstrom
Mo 2.2733 1.1033 1.0196
Mo 12.5321 5.7802 8.0851
Se 7.5602 1.1854 6.5516
Se 7.2452 5.6980 2.5532
Cl 3.0539 1.7370 3.1290
Cl 4.7163 6.9776 1.8267
Cl 5.5093 1.9336 6.3140
Cl 3.5108 2.9933 0.1695
Cl 7.0555 6.5374 4.5886
Cl 9.3096 6.9681 7.9488
Cl 6.1593 3.8162 2.8697
Cl 8.6461 3.0673 6.2351
Cl 5.4959 -0.0846 1.1560
Cl 7.7500 0.3461 4.5162
Cl 11.2946 3.8902 8.9353
Cl 9.2961 4.9498 2.7908
Cl 10.0891 -0.0941 7.2781
Cl 11.7516 5.1464 5.9758
O 5.9606 5.2464 8.1532
O 8.8448 1.6370 0.9516
CELL_PARAMETERS angstrom
8.1715 0.0000 0.0000
2.7270 8.1248 0.0000
3.9069 -1.2414 9.1048

Entry 5:
! Li4Co3NiO8 | the Materials Project database | GGA+U | optimized geometry; values from VASP
! Corrected total energy (MP2020 scheme): -6.2687 eV per atom
! Formation energy: -1.623 eV/atom
! SG: No. 12
! Calculated total energy: -5.4593 eV per atom
&SYSTEM
  ibrav = 0, nat = 32, ntyp = 4
/
ATOMIC_SPECIES
Li 6.94 Li.upf
Co 58.93 Co.upf
Ni 58.69 Ni.upf
O 16.00 O.upf
ATOMIC_POSITIONS angstrom
Li 2.5714 1.4501 0.0000
Li 0.8417 1.4501 4.8118
Li 1.7130 0.0000 2.3442
Li -0.0237 0.0000 7.2151
Li 2.5714 -1.4501 0.0000
Li 0.8417 -1.4501 4.8118
Li 6.8498 0.0000 2.4086
Li 5.1132 0.0000 7.2794
Co -1.7297 0.0000 4.8118
Co 4.2668 1.4510 2.4074
Co 2.5593 1.4510 7.2163
Co 5.1428 0.0000 0.0000
Co 4.2668 -1.4510 2.4074
Co 2.5593 -1.4510 7.2163
Ni 0.0000 0.0000 0.0000
Ni 3.4131 0.0000 4.8118
O -0.1563 0.0000 3.6584
O -1.8178 0.0000 8.2976
O 2.6744 1.5557 3.6934
O 0.9194 1.3936 8.4407
O 4.1517 1.5557 5.9302
O 5.9067 1.3936 1.1830
O 3.4649 0.0000 1.2343
O 1.8098 0.0000 6.1166
O 5.0163 0.0000 3.5071
O 3.3612 0.0000 8.3894
O 0.9194 -1.3936 8.4407
O 2.6744 -1.5557 3.6934
O 5.9067 -1.3936 1.1830
O 4.1517 -1.5557 5.9302
O 8.6439 0.0000 1.3260
O 6.9825 0.0000 5.9653
CELL_PARAMETERS angstrom
5.1428 -2.9003 0.0000
5.1428 2.9003 0.0000
-3.4594 0.0000 9.6237

Entry 6:
! NiH2O2 | the Materials Project database | GGA+U | optimized geometry; values from VASP
! Corrected total energy (MP2020 scheme): -5.7294 eV per atom
! Formation energy: -1.237 eV/atom
! Maximum piezoelectric response: 1.24 C/m²
! SG: No. 5
! Calculated total energy: -4.9464 eV per atom
&SYSTEM
  ibrav = 0, nat = 5, ntyp = 3
/
ATOMIC_SPECIES
Ni 58.69 Ni.upf
H 1.01 H.upf
O 16.00 O.upf
ATOMIC_POSITIONS angstrom
Ni 0.0000 0.0000 0.0000
H 1.3609 0.1173 2.7237
H 3.5783 0.1173 1.9778
O 1.2786 0.0008 3.6833
O 3.6606 0.0008 1.0182
CELL_PARAMETERS angstrom
2.7382 -1.5824 0.0000
2.7382 1.5824 0.0000
-0.5372 0.0000 4.7016

Repeat the fifth record exactly.
! Li4Co3NiO8 | the Materials Project database | GGA+U | optimized geometry; values from VASP
! Corrected total energy (MP2020 scheme): -6.2687 eV per atom
! Formation energy: -1.623 eV/atom
! SG: No. 12
! Calculated total energy: -5.4593 eV per atom
&SYSTEM
  ibrav = 0, nat = 32, ntyp = 4
/
ATOMIC_SPECIES
Li 6.94 Li.upf
Co 58.93 Co.upf
Ni 58.69 Ni.upf
O 16.00 O.upf
ATOMIC_POSITIONS angstrom
Li 2.5714 1.4501 0.0000
Li 0.8417 1.4501 4.8118
Li 1.7130 0.0000 2.3442
Li -0.0237 0.0000 7.2151
Li 2.5714 -1.4501 0.0000
Li 0.8417 -1.4501 4.8118
Li 6.8498 0.0000 2.4086
Li 5.1132 0.0000 7.2794
Co -1.7297 0.0000 4.8118
Co 4.2668 1.4510 2.4074
Co 2.5593 1.4510 7.2163
Co 5.1428 0.0000 0.0000
Co 4.2668 -1.4510 2.4074
Co 2.5593 -1.4510 7.2163
Ni 0.0000 0.0000 0.0000
Ni 3.4131 0.0000 4.8118
O -0.1563 0.0000 3.6584
O -1.8178 0.0000 8.2976
O 2.6744 1.5557 3.6934
O 0.9194 1.3936 8.4407
O 4.1517 1.5557 5.9302
O 5.9067 1.3936 1.1830
O 3.4649 0.0000 1.2343
O 1.8098 0.0000 6.1166
O 5.0163 0.0000 3.5071
O 3.3612 0.0000 8.3894
O 0.9194 -1.3936 8.4407
O 2.6744 -1.5557 3.6934
O 5.9067 -1.3936 1.1830
O 4.1517 -1.5557 5.9302
O 8.6439 0.0000 1.3260
O 6.9825 0.0000 5.9653
CELL_PARAMETERS angstrom
5.1428 -2.9003 0.0000
5.1428 2.9003 0.0000
-3.4594 0.0000 9.6237

Which formula does entry 2 have? Li9Mn2Co5O16

Which value of corrected total energy (MP2020 scheme) does entry 5 give? -6.2687 eV per atom